Record 1
VASP calculation (PBE) on a geometry-optimized Nb6Pb10O25 structure.

```
Nb6Pb10O25
1.0
7.694 0.000 0.000
0.003 7.717 0.000
0.006 0.114 11.053
Nb Pb O
6 10 25
Direct
0.000 0.000 0.000
0.008 0.506 0.501
0.252 0.762 0.749
0.489 0.000 0.005
0.508 0.507 0.503
0.754 0.254 0.249
0.008 0.521 0.007
0.252 0.758 0.245
0.254 0.267 0.762
0.258 0.242 0.248
0.492 0.512 0.002
0.518 0.006 0.516
0.753 0.767 0.257
0.755 0.257 0.749
0.757 0.744 0.734
0.984 0.008 0.513
0.011 0.793 0.113
0.033 0.316 0.637
0.037 0.207 0.891
0.056 0.838 0.874
0.061 0.686 0.651
0.250 0.053 0.066
0.252 0.489 0.138
0.253 0.001 0.689
0.254 0.529 0.853
0.255 0.484 0.468
0.437 0.841 0.879
0.445 0.688 0.652
0.468 0.213 0.893
0.474 0.315 0.636
0.497 0.797 0.117
0.524 0.725 0.416
0.558 0.168 0.155
0.564 0.359 0.374
0.749 0.001 0.972
0.750 0.060 0.379
0.754 0.523 0.574
0.760 0.478 0.172
0.941 0.157 0.156
0.944 0.356 0.375
0.982 0.725 0.416
```

Output
Symmetry ... P1, No. 1
Electronic total energy ... -296.83 eV per cell
Formation energy from the elements ... -2258 meV/atom

Record 2
VASP calculation (PBE) on a geometry-optimized MgAg4As4S4 structure.

```
MgAg4As4S4
1.0
4.468 0.000 0.000
0.008 5.597 0.000
0.208 1.398 12.032
Mg Ag As S
1 4 4 4
Direct
0.000 0.000 0.000
0.003 0.607 0.636
0.050 0.124 0.232
0.508 0.101 0.798
0.519 0.764 0.320
0.005 0.275 0.503
0.499 0.680 0.957
0.508 0.067 0.472
0.997 0.489 0.018
0.005 0.325 0.845
0.012 0.492 0.330
0.498 0.928 0.105
0.502 0.839 0.642
```

Output
Symmetry ... P1, No. 1
Electronic total energy ... -49.16 eV per cell
Formation energy from the elements ... -235 meV/atom

Record 3
VASP calculation (PBE) on a geometry-optimized TbSi structure.

```
TbSi
1.0
7.963 0.000 0.000
0.000 3.850 0.000
0.000 0.000 5.728
Tb Si
4 4
Direct
0.179 0.250 0.115
0.321 0.750 0.615
0.679 0.250 0.385
0.821 0.750 0.885
0.038 0.250 0.628
0.462 0.750 0.128
0.538 0.250 0.872
0.962 0.750 0.372
```

Output
Symmetry ... Pnma, No. 62
Electronic total energy ... -46.84 eV per cell
Formation energy from the elements ... -789 meV/atom